# NaCeV4O12

Crystalline NaCeV4O12 at its relaxed geometry (PBE with a Hubbard U, the Materials Project).

## Properties
symmetry = Amm2 (38)
total DFT energy (no corrections) = -132.88 eV/cell
DFT formation energy = -2.497 eV per atom
magnetization = 1.00 μB/f.u.

a b c (Å): 5.286 5.286 7.511
angles (deg): 90.00 90.00 92.35
Sites, in units of the cell vectors:
Na 0.008 0.992 0.500
Ce 0.494 0.506 0.000
V 0.493 0.015 0.257
V 0.493 0.015 0.743
V 0.985 0.507 0.743
V 0.985 0.507 0.257
O 0.296 0.288 0.243
O 0.712 0.704 0.243
O 0.712 0.704 0.757
O 0.296 0.288 0.757
O 0.232 0.768 0.205
O 0.790 0.210 0.288
O 0.790 0.210 0.712
O 0.232 0.768 0.795
O 0.545 0.051 0.000
O 0.453 0.973 0.500
O 0.949 0.455 0.000
O 0.027 0.547 0.500



# K4Mo6PtO26

Crystalline K4Mo6PtO26 at its relaxed geometry (PBE with a Hubbard U, the Materials Project).

## Properties
symmetry = P-1 (2)
total DFT energy (no corrections) = -453.22 eV/cell
DFT formation energy = -1.607 eV per atom
magnetization = 6.00 μB/f.u.

a b c (Å): 10.623 10.837 12.960
angles (deg): 111.77 81.36 114.52
Sites, in units of the cell vectors:
K 0.254 0.756 0.456
K 0.746 0.244 0.544
K 0.231 0.220 0.524
K 0.769 0.780 0.476
K 0.361 0.279 0.844
K 0.639 0.721 0.156
K 0.161 0.562 0.863
K 0.839 0.438 0.137
Mo 0.513 0.177 0.299
Mo 0.487 0.823 0.701
Mo 0.426 0.444 0.303
Mo 0.574 0.556 0.697
Mo 0.346 0.837 0.144
Mo 0.654 0.163 0.856
Mo 0.176 0.380 0.139
Mo 0.824 0.620 0.861
Mo 0.062 0.879 0.268
Mo 0.938 0.121 0.732
Mo 0.974 0.146 0.263
Mo 0.026 0.854 0.737
Pt 0.260 0.102 0.128
Pt 0.740 0.898 0.872
O 0.805 0.011 0.228
O 0.195 0.989 0.772
O 0.687 0.291 0.291
O 0.313 0.709 0.709
O 0.602 0.554 0.300
O 0.398 0.446 0.700
O 0.377 0.719 0.018
O 0.623 0.281 0.982
O 0.501 0.115 0.408
O 0.499 0.885 0.592
O 0.377 0.785 0.246
O 0.623 0.215 0.754
O 0.172 0.401 0.013
O 0.828 0.599 0.987
O 0.354 0.550 0.408
O 0.646 0.450 0.592
O 0.129 0.513 0.238
O 0.871 0.487 0.762
O 0.114 0.871 0.386
O 0.886 0.129 0.614
O 0.889 0.757 0.246
O 0.111 0.243 0.754
O 0.956 0.284 0.377
O 0.044 0.716 0.623
O 0.513 0.012 0.168
O 0.487 0.988 0.832
O 0.374 0.462 0.171
O 0.626 0.538 0.829
O 0.304 0.950 0.027
O 0.696 0.050 0.973
O 0.434 0.322 0.378
O 0.566 0.678 0.622
O 0.144 0.763 0.146
O 0.856 0.237 0.854
O 0.001 0.218 0.141
O 0.999 0.782 0.859
O 0.237 0.178 0.027
O 0.763 0.822 0.973
O 0.036 0.060 0.346
O 0.964 0.940 0.654
O 0.445 0.239 0.173
O 0.555 0.761 0.827
O 0.068 0.986 0.143
O 0.932 0.014 0.857
O 0.286 0.031 0.246
O 0.714 0.969 0.754
O 0.209 0.262 0.245
O 0.791 0.738 0.755
O 0.696 0.962 0.370
O 0.304 0.038 0.630
O 0.830 0.516 0.367
O 0.170 0.484 0.633



# Li2VF6

Crystalline Li2VF6 at its relaxed geometry (PBE with a Hubbard U, the Materials Project).

## Properties
symmetry = P4/mnc (128)
total DFT energy (no corrections) = -95.83 eV/cell
DFT formation energy = -3.111 eV per atom
magnetization = 1.00 μB/f.u.

a b c (Å): 6.394 6.394 6.056
angles (deg): 90.00 90.00 90.00
Sites, in units of the cell vectors:
Li 0.000 0.500 0.750
Li 0.000 0.500 0.250
Li 0.500 0.000 0.750
Li 0.500 0.000 0.250
V 0.500 0.500 0.500
V 0.000 0.000 0.000
F 0.970 0.698 0.000
F 0.802 0.530 0.500
F 0.500 0.500 0.796
F 0.500 0.500 0.204
F 0.302 0.970 0.000
F 0.470 0.802 0.500
F 0.698 0.030 0.000
F 0.530 0.198 0.500
F 0.000 0.000 0.296
F 0.000 0.000 0.704
F 0.030 0.302 0.000
F 0.198 0.470 0.500



# KLuMo2O8

Crystalline KLuMo2O8 at its relaxed geometry (PBE with a Hubbard U, the Materials Project).

## Properties
symmetry = Pbcn (60)
total DFT energy (no corrections) = -342.48 eV/cell
DFT formation energy = -2.551 eV per atom
magnetization = 0.00 μB/f.u.

a b c (Å): 5.086 8.001 18.475
angles (deg): 90.00 90.00 90.00
Sites, in units of the cell vectors:
K 0.000 0.750 0.771
K 0.000 0.250 0.229
K 0.500 0.250 0.729
K 0.500 0.750 0.271
Lu 0.000 0.750 0.006
Lu 0.000 0.250 0.994
Lu 0.500 0.250 0.494
Lu 0.500 0.750 0.506
Mo 0.023 0.515 0.400
Mo 0.977 0.485 0.600
Mo 0.477 0.015 0.100
Mo 0.977 0.985 0.400
Mo 0.523 0.985 0.900
Mo 0.023 0.015 0.600
Mo 0.523 0.485 0.100
Mo 0.477 0.515 0.900
O 0.099 0.977 0.312
O 0.901 0.023 0.688
O 0.401 0.477 0.188
O 0.901 0.523 0.312
O 0.599 0.523 0.812
O 0.099 0.477 0.688
O 0.599 0.023 0.188
O 0.401 0.977 0.812
O 0.264 0.836 0.097
O 0.736 0.164 0.903
O 0.236 0.336 0.403
O 0.736 0.664 0.097
O 0.764 0.664 0.597
O 0.264 0.336 0.903
O 0.764 0.164 0.403
O 0.236 0.836 0.597
O 0.244 0.507 0.034
O 0.756 0.493 0.966
O 0.256 0.007 0.466
O 0.756 0.993 0.034
O 0.744 0.993 0.534
O 0.244 0.007 0.966
O 0.744 0.493 0.466
O 0.256 0.507 0.534
O 0.246 0.693 0.410
O 0.754 0.307 0.590
O 0.254 0.193 0.090
O 0.754 0.807 0.410
O 0.746 0.807 0.910
O 0.246 0.193 0.590
O 0.746 0.307 0.090
O 0.254 0.693 0.910